# MgPH7O7 PBE optimized geometry
data_MgPH7O7
_chemical_formula_sum 'Mg8 P8 H56 O56'
_space_group_name_H-M_alt 'P 1'
_space_group_IT_number 1
_space_group_name_Hall 'P 1'
_cell_length_a 10.030
_cell_length_b 10.368
_cell_length_c 10.693
_cell_angle_alpha 90.00
_cell_angle_beta 90.00
_cell_angle_gamma 90.00
loop_
_atom_site_label
_atom_site_fract_x
_atom_site_fract_y
_atom_site_fract_z
Mg1 0.587 0.298 0.255
Mg2 0.087 0.202 0.745
Mg3 0.413 0.798 0.245
Mg4 0.913 0.702 0.755
Mg5 0.413 0.702 0.745
Mg6 0.913 0.798 0.255
Mg7 0.587 0.202 0.755
Mg8 0.087 0.298 0.245
P1 0.656 0.992 0.369
P2 0.156 0.508 0.631
P3 0.344 0.492 0.131
P4 0.844 0.008 0.869
P5 0.344 0.008 0.631
P6 0.844 0.492 0.369
P7 0.656 0.508 0.869
P8 0.156 0.992 0.131
H1 0.600 0.995 0.574
H2 0.100 0.505 0.426
H3 0.400 0.495 0.926
H4 0.900 0.005 0.074
H5 0.400 0.005 0.426
H6 0.900 0.495 0.574
H7 0.600 0.505 0.074
H8 0.100 0.995 0.926
H9 0.480 0.345 0.499
H10 0.980 0.155 0.501
H11 0.520 0.845 0.001
H12 0.020 0.655 0.999
H13 0.520 0.655 0.501
H14 0.020 0.845 0.499
H15 0.480 0.155 0.999
H16 0.980 0.345 0.001
H17 0.369 0.328 0.398
H18 0.869 0.172 0.602
H19 0.631 0.828 0.102
H20 0.131 0.672 0.898
H21 0.631 0.672 0.602
H22 0.131 0.828 0.398
H23 0.369 0.172 0.898
H24 0.869 0.328 0.102
H25 0.738 0.167 0.068
H26 0.238 0.333 0.932
H27 0.262 0.667 0.432
H28 0.762 0.833 0.568
H29 0.262 0.833 0.932
H30 0.762 0.667 0.068
H31 0.738 0.333 0.568
H32 0.238 0.167 0.432
H33 0.683 0.294 0.005
H34 0.183 0.206 0.995
H35 0.317 0.794 0.495
H36 0.817 0.706 0.505
H37 0.317 0.706 0.995
H38 0.817 0.794 0.005
H39 0.683 0.206 0.505
H40 0.183 0.294 0.495
H41 0.463 0.078 0.219
H42 0.963 0.422 0.781
H43 0.537 0.578 0.281
H44 0.037 0.922 0.719
H45 0.537 0.922 0.781
H46 0.037 0.578 0.219
H47 0.463 0.422 0.719
H48 0.963 0.078 0.281
H49 0.347 0.170 0.174
H50 0.847 0.330 0.826
H51 0.653 0.670 0.326
H52 0.153 0.830 0.674
H53 0.653 0.830 0.826
H54 0.153 0.670 0.174
H55 0.347 0.330 0.674
H56 0.847 0.170 0.326
O1 0.465 0.345 0.408
O2 0.965 0.155 0.592
O3 0.535 0.845 0.092
O4 0.035 0.655 0.908
O5 0.535 0.655 0.592
O6 0.035 0.845 0.408
O7 0.465 0.155 0.908
O8 0.965 0.345 0.092
O9 0.701 0.254 0.088
O10 0.201 0.246 0.912
O11 0.299 0.754 0.412
O12 0.799 0.746 0.588
O13 0.299 0.746 0.912
O14 0.799 0.754 0.088
O15 0.701 0.246 0.588
O16 0.201 0.254 0.412
O17 0.446 0.163 0.179
O18 0.946 0.337 0.821
O19 0.554 0.663 0.321
O20 0.054 0.837 0.679
O21 0.554 0.837 0.821
O22 0.054 0.663 0.179
O23 0.446 0.337 0.679
O24 0.946 0.163 0.321
O25 0.675 0.963 0.516
O26 0.175 0.537 0.484
O27 0.325 0.463 0.984
O28 0.825 0.037 0.016
O29 0.325 0.037 0.484
O30 0.825 0.463 0.516
O31 0.675 0.537 0.016
O32 0.175 0.963 0.984
O33 0.675 0.140 0.352
O34 0.175 0.360 0.648
O35 0.325 0.640 0.148
O36 0.825 0.860 0.852
O37 0.325 0.860 0.648
O38 0.825 0.640 0.352
O39 0.675 0.360 0.852
O40 0.175 0.140 0.148
O41 0.510 0.955 0.335
O42 0.010 0.545 0.665
O43 0.490 0.455 0.165
O44 0.990 0.045 0.835
O45 0.490 0.045 0.665
O46 0.990 0.455 0.335
O47 0.510 0.545 0.835
O48 0.010 0.955 0.165
O49 0.760 0.912 0.304
O50 0.260 0.588 0.696
O51 0.240 0.412 0.196
O52 0.740 0.088 0.804
O53 0.240 0.088 0.696
O54 0.740 0.412 0.304
O55 0.760 0.588 0.804
O56 0.260 0.912 0.196
# Energy of formation from the pure elements, eV per atom: -1.861
# Crystal system: orthorhombic
# Magnetic moment, μB per formula unit: 0.0